# 1
MgV2CdO6 | PBE+U | optimized geometry

Cell: 3.9647 5.8577 6.7636 Å, 101.40 90.01 109.80°
Atoms (fractional coordinates):
Mg  0.4193  0.8386  0.2157
O  0.3779  0.7555  0.9007
O  0.8899  0.7797  0.2233
V  0.7491  0.4982  0.3369
V  0.2480  0.4961  0.6704
O  0.1005  0.2014  0.7072
Cd  0.9751  0.9497  0.9125
O  0.5993  0.1989  0.1926
O  0.7729  0.5458  0.6261
O  0.2787  0.5575  0.3904

Properties
Energy of formation from the pure elements = -23.48 eV/f.u.
E_tot = -6.633 eV/atom
Mass density = 3.85 g/cm3
Total magnetic moment = 2.00 μB per cell

# 2
La4MnSe6O | PBE+U | optimized geometry

Cell: 7.1366 9.8365 9.8365 Å, 120.00 90.00 90.00°
Atoms (fractional coordinates):
Se  0.4449  0.5302  0.0603
La  0.2072  0.3333  0.6667
La  0.1606  0.7998  0.5995
La  0.6606  0.5995  0.7998
O  0.0438  0.6667  0.3333
Mn  0.4945  0.0000  0.0000
La  0.7072  0.6667  0.3333
Mn  0.9944  0.0000  0.0000
Se  0.9449  0.0603  0.5302
Se  0.2630  0.1261  0.8739
Se  0.4449  0.5302  0.4698
Se  0.9449  0.4698  0.5302
Se  0.2630  0.7477  0.8739
Se  0.4449  0.9397  0.4698
Se  0.7630  0.8739  0.7477
La  0.1606  0.4005  0.2002
O  0.5438  0.3333  0.6667
Se  0.2630  0.1261  0.2523
La  0.6606  0.2002  0.7998
Se  0.9449  0.4698  0.9397
La  0.1606  0.7998  0.2002
La  0.6606  0.2002  0.4005
Se  0.7630  0.2523  0.1261
Se  0.7630  0.8739  0.1261

Properties
Energy of formation from the pure elements = -25.11 eV/f.u.
E_tot = -6.465 eV/atom
Piezoelectric modulus e_max = 0.4 C/m2
Mass density = 6.11 g/cm3
Total magnetic moment = 0.00 μB per cell

Copy entry 1 word for word.
MgV2CdO6 | PBE+U | optimized geometry

Cell: 3.9647 5.8577 6.7636 Å, 101.40 90.01 109.80°
Atoms (fractional coordinates):
Mg  0.4193  0.8386  0.2157
O  0.3779  0.7555  0.9007
O  0.8899  0.7797  0.2233
V  0.7491  0.4982  0.3369
V  0.2480  0.4961  0.6704
O  0.1005  0.2014  0.7072
Cd  0.9751  0.9497  0.9125
O  0.5993  0.1989  0.1926
O  0.7729  0.5458  0.6261
O  0.2787  0.5575  0.3904

Properties
Energy of formation from the pure elements = -23.48 eV/f.u.
E_tot = -6.633 eV/atom
Mass density = 3.85 g/cm3
Total magnetic moment = 2.00 μB per cell

What is the total magnetic moment in the second record?
0.00 μB per cell